## Na3YC3O9 (r²SCAN)

Data for a geometry-optimized Na3YC3O9 structure.

Lattice parameters (Å, degrees): 6.4582 6.4582 9.8468 90.00 90.00 114.26
Closest atoms and distances in Å follow each position.
Atoms (fractional coordinates):
Na: 0.4040 0.3670 0.2500  6 O 2.26-2.40
Na: 0.3670 0.4040 0.7500  6 O 2.26-2.40
Na: 0.7983 0.2048 0.2500  7 O 2.34-2.61
Na: 0.2048 0.7983 0.7500  7 O 2.34-2.61
Na: 0.0712 0.0712 0.0000  8 O 2.34-2.58
Na: 0.0712 0.0712 0.5000  8 O 2.34-2.58
Y: 0.2272 0.7716 0.2500  9 O 2.35-2.46
Y: 0.7716 0.2272 0.7500  9 O 2.35-2.46
C: 0.7853 0.7604 0.2500  3 O 1.28-1.31
C: 0.7604 0.7853 0.7500  3 O 1.28-1.31
C: 0.1194 0.5333 0.0013  3 O 1.28-1.30
C: 0.5333 0.1194 0.9987  3 O 1.28-1.30
C: 0.1194 0.5333 0.4987  3 O 1.28-1.30
C: 0.5333 0.1194 0.5013  3 O 1.28-1.30
O: 0.5897 0.7667 0.2500  1 C 1.28
O: 0.7667 0.5897 0.7500  1 C 1.28
O: 0.8097 0.5726 0.2500  1 C 1.29
O: 0.5726 0.8097 0.7500  1 C 1.29
O: 0.1049 0.7245 0.0130  1 C 1.28
O: 0.7245 0.1049 0.9870  1 C 1.28
O: 0.1049 0.7245 0.4870  1 C 1.28
O: 0.7245 0.1049 0.5130  1 C 1.28
O: 0.9711 0.9491 0.2500  1 C 1.31
O: 0.9491 0.9711 0.7500  1 C 1.31
O: 0.4345 0.0990 0.1145  1 C 1.29
O: 0.0990 0.4345 0.8855  1 C 1.29
O: 0.4345 0.0990 0.3855  1 C 1.29
O: 0.0990 0.4345 0.6145  1 C 1.29
O: 0.1616 0.4438 0.1102  1 C 1.30
O: 0.4438 0.1616 0.8898  1 C 1.30
O: 0.1616 0.4438 0.3898  1 C 1.30
O: 0.4438 0.1616 0.6102  1 C 1.30

Output
* mass density: 3.0 g/cm3
* formation energy: -2149 meV/atom